i.
Li3V6O13, optimized geometry, DFT PBE+U; crystal system = monoclinic
1.0
0.0000 -3.9409 0.0000
-5.9096 1.9705 0.0000
1.9044 0.0000 -10.0724
O Li V
13 3 6
direct
0.1737 0.3475 0.0001 O
0.8912 0.7825 0.3917 O
0.5675 0.1351 0.4090 O
0.4325 0.8649 0.5910 O
0.6216 0.2432 0.8053 O
0.7601 0.5202 0.5991 O
0.8263 0.6525 0.9999 O
0.5000 0.0000 0.0000 O
0.3156 0.6312 0.8050 O
0.6844 0.3688 0.1950 O
0.3784 0.7568 0.1947 O
0.1088 0.2175 0.6083 O
0.2399 0.4798 0.4009 O
0.0000 0.0000 0.0000 Li
0.9315 0.8631 0.5906 Li
0.0685 0.1369 0.4094 Li
0.6568 0.3136 0.9977 V
0.4009 0.8017 0.3619 V
0.7196 0.4391 0.3604 V
0.5991 0.1983 0.6381 V
0.3432 0.6864 0.0023 V
0.2804 0.5609 0.6396 V

=====

ii.
Li3V6O13, optimized geometry, DFT PBE+U; crystal system = monoclinic
1.0
-1.0120 -6.2296 -0.5859
2.9593 -5.5835 -0.4933
0.2260 -2.8104 9.9185
O V Li
13 6 3
direct
0.4947 0.4947 0.9997 O
0.1830 0.1830 0.9997 O
0.6808 0.6808 0.8022 O
0.7590 0.7590 0.4036 O
0.6176 0.6176 0.1981 O
0.1108 0.1108 0.3911 O
0.4306 0.4306 0.4187 O
0.5693 0.5693 0.5817 O
0.8889 0.8889 0.6088 O
0.3800 0.3800 0.8009 O
0.2407 0.2407 0.5964 O
0.3171 0.3171 0.1989 O
0.8270 0.8270 0.0000 O
0.2801 0.2801 0.3642 V
0.5978 0.5978 0.3660 V
0.6618 0.6618 0.0021 V
0.4021 0.4021 0.6334 V
0.7195 0.7195 0.6364 V
0.3429 0.3429 0.9975 V
0.9307 0.9307 0.4128 Li
0.0694 0.0694 0.5872 Li
0.9993 0.9993 0.0005 Li

=====

iii.
Li3V6O13, optimized geometry, DFT PBE+U; crystal system = triclinic
1.0
6.3100 0.0000 0.0000
-2.5383 7.5923 0.0000
-1.8030 -0.6032 10.2000
O V Li
26 12 6
direct
0.5178 0.1296 0.5969 O
0.6501 0.1618 0.0017 O
0.2413 0.0590 0.8020 O
0.2392 0.5606 0.8020 O
0.7794 0.1949 0.3921 O
0.4822 0.8704 0.4031 O
0.2214 0.3054 0.6087 O
0.1382 0.5343 0.4162 O
0.8618 0.4657 0.5838 O
0.3671 0.0925 0.1987 O
0.4825 0.3708 0.4032 O
0.1379 0.0347 0.4161 O
0.7786 0.6946 0.3913 O
0.3671 0.5904 0.1973 O
0.7608 0.4394 0.1980 O
0.7587 0.9410 0.1980 O
0.0000 0.5000 0.0000 O
0.0000 0.0000 0.0000 O
0.6329 0.9075 0.8013 O
0.6329 0.4096 0.8027 O
0.3541 0.3374 0.0023 O
0.2206 0.8051 0.6079 O
0.5175 0.6292 0.5968 O
0.3499 0.8382 0.9983 O
0.8621 0.9653 0.5839 O
0.6459 0.6626 0.9977 O
0.1957 0.5491 0.6350 V
0.1957 0.0488 0.6355 V
0.5610 0.8902 0.6372 V
0.4390 0.1098 0.3628 V
0.4391 0.6098 0.3625 V
0.8043 0.4509 0.3650 V
0.8043 0.9512 0.3645 V
0.3166 0.5792 0.9975 V
0.5609 0.3902 0.6375 V
0.6829 0.9217 0.0009 V
0.6834 0.4208 0.0025 V
0.3171 0.0783 0.9991 V
0.9894 0.7474 0.9689 Li
0.1370 0.7844 0.4098 Li
0.8630 0.2156 0.5902 Li
0.0106 0.2526 0.0311 Li
0.1377 0.2843 0.4126 Li
0.8623 0.7157 0.5874 Li

=====

Need the numbers? Relative energies in meV/atom: i 22; ii 0; iii 5.

=====

i.
Li3V2O6, optimized geometry, DFT PBE+U; crystal system = monoclinic
1.0
-2.6667 1.7870 -3.8837
-0.8333 -4.7025 1.6063
-4.5547 0.5817 2.2087
Li V O
3 2 6
direct
0.3458 0.6542 0.0000 Li
0.0000 0.0000 0.0000 Li
0.6542 0.3458 0.0000 Li
0.8342 0.1658 0.5000 V
0.1658 0.8342 0.5000 V
0.4250 0.0378 0.7257 O
0.0378 0.4250 0.7257 O
0.1975 0.1975 0.2673 O
0.5750 0.9622 0.2743 O
0.9622 0.5750 0.2743 O
0.8025 0.8025 0.7327 O

=====

ii.
Li3V2O6, optimized geometry, DFT PBE+U; largest piezoelectric modulus = 1.90 C/m²; crystal system = triclinic
1.0
-4.9058 -0.2934 0.8395
2.0674 -3.1555 -3.4191
1.9227 -1.9837 4.3625
Li V O
3 2 6
direct
0.6520 0.8494 0.9976 Li
0.0042 0.4952 0.9977 Li
0.3547 0.1522 0.0056 Li
0.8331 0.6704 0.4893 V
0.1675 0.3185 0.5103 V
0.9652 0.0941 0.7265 O
0.5749 0.4543 0.7302 O
0.0585 0.9337 0.2736 O
0.8086 0.2935 0.2598 O
0.2023 0.6992 0.7339 O
0.4268 0.5436 0.2726 O

=====

Need the numbers? Relative energies in meV/atom: i 35; ii 0.